(1)
## Dy2Zr2O7 (GGA-PBE)

Data for a relaxed structure of Dy2Zr2O7.

```
22
Lattice="0.0188 4.0616 6.2884 -5.0392 5.4541 0.9482 -5.5080 -0.8213 5.0027" Properties=species:S:1:pos:R:3 pbc="T T T"
O -5.4027 1.4126 5.4855
O -5.1258 7.2818 6.7538
O -0.3487 2.0501 3.1328
O -2.7294 1.6952 5.2950
O -2.2646 4.1850 6.2155
O -4.9155 2.2971 2.9869
O -2.7375 -0.0603 2.5771
O -2.5349 2.6520 0.8246
O -5.3920 3.7187 9.0559
O -8.2638 4.5094 6.0238
O -7.8964 6.5208 9.1795
O -2.5267 4.4075 3.5426
O -5.2642 4.3472 6.1196
O -5.1365 4.9757 3.1834
Zr -1.3161 1.0868 1.5299
Zr -1.3067 3.1176 4.6741
Zr -4.0701 0.6762 4.0313
Zr -3.8357 3.8139 2.0040
Dy -6.5803 5.4340 7.6496
Dy -4.0607 2.7069 7.1755
Dy -3.8263 5.8447 5.1482
Dy -6.5897 3.4032 4.5054
```

Output
The value obtained for the formation energy is -3.867 eV/atom. The calculation puts the calculated total energy at -197.34 eV per cell. The calculation puts the size of the total moment at 0.0 μB per cell.

(2)
## DyOs3 (GGA-PBE)

Data for a relaxed structure of DyOs3.

```
8
Lattice="2.9187 -5.0553 0.0000 2.9187 5.0553 0.0000 0.0000 0.0000 4.6074" Properties=species:S:1:pos:R:3 pbc="T T T"
Dy 2.9187 1.6851 3.4555
Dy 2.9187 -1.6851 1.1518
Os 4.4582 -0.7963 3.4555
Os 2.9187 -3.4628 3.4555
Os 2.9187 3.4628 1.1518
Os 4.4582 0.7963 1.1518
Os 1.3792 -0.7963 3.4555
Os 1.3792 0.7963 1.1518
```

Output
The value obtained for the formation energy is 0.410 eV/atom. The calculation puts the calculated total energy at -73.30 eV per cell. The calculation puts the size of the total moment at 0.0 μB per cell.

(3)
## DySi2Os2 (GGA-PBE)

Data for a relaxed structure of DySi2Os2.

```
5
Lattice="-3.5026 2.2720 0.2185 -1.6544 -2.8028 2.6240 4.3953 2.7055 2.3307" Properties=species:S:1:pos:R:3 pbc="T T T"
Os -0.8429 2.3561 1.9852
Os 0.0812 -0.1814 3.1879
Dy 0.0000 0.0000 0.0000
Si -2.1126 0.3603 2.3834
Si 1.3509 1.8143 2.7898
```

Output
The value obtained for the formation energy is -0.725 eV/atom. The calculation puts the calculated total energy at -41.54 eV per cell.

(4)
## Dy5Sn18Os6 (GGA-PBE)

Data for a relaxed structure of Dy5Sn18Os6.

```
29
Lattice="6.8562 1.1161 7.0617 1.0235 8.7263 4.5745 -2.7527 0.9835 9.4645" Properties=species:S:1:pos:R:3 pbc="T T T"
Os 3.3233 3.7783 13.4987
Os 4.6814 3.2930 8.8292
Os 5.1864 7.5983 11.0861
Os 1.8037 7.0477 7.6021
Os 0.4456 7.5329 12.2716
Os -0.0593 3.2276 10.0147
Dy 0.4934 4.5289 12.7000
Dy 0.0000 0.0000 0.0000
Dy 1.9058 4.0242 7.8436
Dy 5.4239 4.5969 11.4671
Dy 2.4310 8.5018 10.1909
Sn 2.0887 4.7715 15.6626
Sn 0.3259 7.0714 14.9109
Sn 6.0674 10.4661 17.7946
Sn 6.5460 7.1573 13.3555
Sn 6.8992 10.1688 14.9343
Sn 0.5545 5.9862 9.9065
Sn 3.8453 8.1195 15.8256
Sn 0.6792 10.0830 16.4897
Sn 3.0255 6.3884 12.4516
Sn 1.6291 9.7436 13.2233
Sn 1.2818 2.7065 5.2752
Sn 4.5331 9.7836 12.4972
Sn 4.7642 7.7939 19.4822
Sn 4.0176 6.0339 9.0405
Sn 4.4548 5.1567 18.0997
Sn 2.7512 10.4203 18.6238
Sn 2.6566 3.2434 10.8029
Sn 5.4048 4.8173 14.8334
```

Output
The value obtained for the formation energy is -0.295 eV/atom. The calculation puts the calculated total energy at -171.13 eV per cell. The calculation puts the size of the total moment at 0.0 μB per cell.

(5)
## DyTaOs2 (GGA-PBE)

Data for a relaxed structure of DyTaOs2.

```
4
Lattice="0.0000 3.2834 3.2834 3.2834 0.0000 3.2834 3.2834 3.2834 0.0000" Properties=species:S:1:pos:R:3 pbc="T T T"
Os 3.2834 3.2834 3.2834
Os 0.0000 0.0000 0.0000
Ta 4.9252 4.9252 4.9252
Dy 1.6417 1.6417 1.6417
```

Output
The value obtained for the formation energy is -0.206 eV/atom. The calculation puts the calculated total energy at -39.74 eV per cell. The calculation puts the size of the total moment at 0.0 μB per cell.

(6)
## DyP5 (GGA-PBE)

Data for a relaxed structure of DyP5.

```
12
Lattice="0.2553 2.3859 -4.3327 2.8853 3.1714 3.2124 7.7830 -4.8438 -2.2087" Properties=species:S:1:pos:R:3 pbc="T T T"
Dy 4.0849 3.2369 -2.7687
Dy 6.8388 -2.5235 -0.5604
P 1.4650 1.8269 -0.0005
P 6.0143 1.0301 -2.3511
P 0.9475 0.6084 -1.7244
P 9.4586 -1.1135 -3.3286
P 9.9761 0.1050 -1.6047
P 8.4846 -0.1423 0.0170
P 2.4390 0.8557 -3.3461
P 7.5265 1.6296 -0.9095
P 3.3971 -0.9161 -2.4196
P 4.9094 -0.3167 -0.9780
```

Output
The value obtained for the formation energy is -0.533 eV/atom. The calculation puts the calculated total energy at -69.74 eV per cell.

(7)
## DyP2Pd2 (GGA-PBE)

Data for a relaxed structure of DyP2Pd2.

```
5
Lattice="-2.0466 2.0466 4.9623 2.0466 -2.0466 4.9623 2.0466 2.0466 -4.9623" Properties=species:S:1:pos:R:3 pbc="T T T"
Dy 0.0000 0.0000 0.0000
P 0.0000 0.0000 6.0611
P 0.0000 0.0000 3.8635
Pd 2.0466 0.0000 2.4811
Pd 0.0000 2.0466 2.4811
```

Output
The value obtained for the formation energy is -0.929 eV/atom. The calculation puts the calculated total energy at -30.44 eV per cell.

(8)
## DyP2Pt8 (GGA-PBE)

Data for a relaxed structure of DyP2Pt8.

```
11
Lattice="-1.9440 -1.5832 5.8236 1.8779 -0.2328 6.0514 -2.5513 6.0899 6.7037" Properties=species:S:1:pos:R:3 pbc="T T T"
Pt -0.4432 -0.5877 10.9195
Pt -2.2482 4.4290 11.4651
Pt -0.3692 -0.1551 7.1137
Pt -2.1743 4.8616 7.6593
Pt -1.5471 2.1606 13.1498
Pt -1.0703 2.1133 5.4290
Pt -0.4094 0.6278 3.1466
Pt -2.2080 3.6461 15.4321
P -0.8035 0.0595 13.1298
P -1.8139 4.2144 5.4490
Dy -1.3087 2.1370 9.2894
```

Output
The value obtained for the formation energy is -0.635 eV/atom. The calculation puts the calculated total energy at -70.99 eV per cell.

(9)
## Dy5P12Ru19 (GGA-PBE)

Data for a relaxed structure of Dy5P12Ru19.

```
36
Lattice="6.2666 -10.8540 0.0000 6.2666 10.8540 0.0000 0.0000 0.0000 3.9847" Properties=species:S:1:pos:R:3 pbc="T T T"
P 4.6776 0.0000 0.0000
P 10.2203 0.0000 0.0000
P 3.9278 6.8031 0.0000
P 1.1564 2.0030 0.0000
P 4.0651 3.3188 1.9924
P 4.0651 -3.3188 1.9924
P 7.6264 1.8611 1.9924
P 1.1564 -2.0030 0.0000
P 7.6264 -1.8611 1.9924
P 3.9278 -6.8031 0.0000
P 7.1082 5.6741 1.9924
P 7.1082 -5.6741 1.9924
Ru 8.6569 3.9758 1.9924
Ru 0.0000 0.0000 0.0000
Ru 6.9558 0.0000 0.0000
Ru 8.6569 -3.9758 1.9924
Ru 3.5211 2.0806 0.0000
Ru 2.7887 4.8302 0.0000
Ru 4.7615 -5.5091 1.9924
Ru 6.3079 -6.7644 0.0000
Ru 5.3813 1.3691 1.9924
Ru 2.7887 -4.8302 0.0000
Ru 1.7711 3.0677 1.9924
Ru 4.7615 5.5091 1.9924
Ru 8.9708 2.0091 0.0000
Ru 5.3813 -1.3691 1.9924
Ru 8.9909 0.0000 1.9924
Ru 6.3079 6.7644 0.0000
Ru 3.5211 -2.0806 0.0000
Ru 1.7711 -3.0677 1.9924
Ru 8.9708 -2.0091 0.0000
Dy 6.2666 3.6180 0.0000
Dy 5.1146 -8.8587 1.9924
Dy 6.2666 -3.6180 0.0000
Dy 2.3040 0.0000 1.9924
Dy 5.1146 8.8587 1.9924
```

Output
The value obtained for the formation energy is -0.864 eV/atom. The calculation puts the calculated total energy at -295.31 eV per cell.

(10)
## DyP2Ru2 (GGA-PBE)

Data for a relaxed structure of DyP2Ru2.

```
5
Lattice="-2.0275 2.0275 4.7825 2.0275 -2.0275 4.7825 2.0275 2.0275 -4.7825" Properties=species:S:1:pos:R:3 pbc="T T T"
P 0.0000 0.0000 5.9761
P 0.0000 0.0000 3.5890
Ru 2.0275 0.0000 2.3913
Ru 0.0000 2.0275 2.3913
Dy 0.0000 0.0000 0.0000
```

Output
The value obtained for the formation energy is -1.038 eV/atom. The calculation puts the calculated total energy at -39.17 eV per cell.

(11)
## DyPS (GGA-PBE)

Data for a relaxed structure of DyPS.

```
24
Lattice="-1.7921 4.9905 0.3942 -4.7910 -1.8460 1.5890 5.0673 0.5614 15.9311" Properties=species:S:1:pos:R:3 pbc="T T T"
Dy -4.4656 -0.4918 3.8542
Dy 2.9498 4.1976 14.0600
Dy 2.7547 1.5826 10.4179
Dy -0.9309 0.5574 6.6413
Dy 1.4107 0.7761 14.5181
Dy -2.9265 2.9297 3.3961
Dy -0.5849 3.1484 11.2729
Dy -4.2705 2.1232 7.4964
P 2.8093 2.3335 16.5390
P -5.0936 3.5125 1.5443
P 3.5778 0.1934 16.3700
P -1.3237 -1.0072 9.2857
P -4.3251 1.3724 1.3752
P -0.1921 4.7131 8.6285
P 0.5765 2.5730 8.4595
P -2.0922 1.1328 9.4548
S -5.1483 2.0215 4.7930
S -3.5910 -0.3958 6.6149
S -2.0811 3.0189 6.1102
S -1.8119 0.4589 3.8827
S 2.0752 4.1016 11.2993
S 0.5654 0.6869 11.8040
S 0.2961 3.2469 14.0315
S 3.6325 1.6843 13.1212
```

Output
The value obtained for the formation energy is -1.731 eV/atom. The calculation puts the calculated total energy at -150.77 eV per cell.

(12)
## DyTlP2Se6 (GGA-PBE)

Data for a relaxed structure of DyTlP2Se6.

```
20
Lattice="-1.9261 6.4138 3.7063 -4.6251 -3.5132 3.6761 7.1253 -2.0936 7.3259" Properties=species:S:1:pos:R:3 pbc="T T T"
Se -4.2995 2.3807 8.5017
Se 1.5533 -1.4327 8.1037
Se -0.6000 1.0846 12.2428
Se -0.8831 -0.7346 5.7129
Se -1.1901 2.9421 7.0106
Se -4.1519 1.7551 4.8509
Se 5.1670 -2.4162 9.0090
Se 0.5462 1.8135 3.6739
Se 1.2259 2.3117 9.4405
Se 2.5920 -0.5873 4.5069
Se -1.5772 -0.0731 9.3535
Se 4.1422 0.8618 7.6140
Tl -2.1819 3.9577 3.3998
Tl 2.8711 -3.5340 11.0870
P -2.4153 -0.2734 7.2742
P 3.9151 -2.0023 5.6527
P -3.1200 1.8130 6.7430
P 3.7802 -1.2925 7.7998
Dy 1.3135 1.1411 6.5595
Dy -1.6898 2.8309 9.9778
```

Output
The value obtained for the formation energy is -0.910 eV/atom. The calculation puts the calculated total energy at -90.09 eV per cell. The calculation puts the size of the total moment at 0.0 μB per cell.

(13)
## Dy5Pb3 (GGA-PBE)

Data for a relaxed structure of Dy5Pb3.

```
16
Lattice="4.5358 -7.8563 0.0000 4.5358 7.8563 0.0000 0.0000 0.0000 6.6449" Properties=species:S:1:pos:R:3 pbc="T T T"
Pb 1.7895 -3.0996 4.9837
Pb 2.7463 4.7567 1.6612
Pb 1.7895 3.0996 4.9837
Pb 2.7463 -4.7567 1.6612
Pb 3.5791 0.0000 1.6612
Pb 5.4926 0.0000 4.9837
Dy 4.5358 2.6188 0.0000
Dy 1.0773 -1.8659 1.6612
Dy 2.1546 0.0000 4.9837
Dy 3.4585 5.9903 4.9837
Dy 1.0773 1.8659 1.6612
Dy 6.9170 0.0000 1.6612
Dy 4.5358 2.6188 3.3225
Dy 3.4585 -5.9903 4.9837
Dy 4.5358 -2.6188 3.3225
Dy 4.5358 -2.6188 0.0000
```

Output
The value obtained for the formation energy is -0.536 eV/atom. The calculation puts the calculated total energy at -76.92 eV per cell.

(14)
## Dy14Pb3S24 (GGA-PBE)

Data for a relaxed structure of Dy14Pb3S24.

```
41
Lattice="4.1945 5.9804 0.0000 -4.1945 5.9804 0.0000 0.0000 5.9441 17.9092" Properties=species:S:1:pos:R:3 pbc="T T T"
S 0.4998 10.4392 8.3729
S -1.5823 7.4931 12.6570
S -1.5823 10.4118 5.2523
S -0.5312 6.6853 4.3725
S 0.6069 13.4595 15.5093
S -3.6349 10.4103 14.3904
S -0.5131 5.3763 7.3619
S -2.5969 8.3883 7.4661
S 2.5990 10.4832 11.3975
S -0.5131 12.5286 10.5474
S 1.4854 8.3813 1.4793
S -1.6205 10.3876 17.2327
S 1.5119 8.3366 13.5139
S 0.6069 4.4454 2.3999
S 2.5990 7.4217 6.5118
S 0.4998 7.4657 9.5363
S 1.4854 9.5235 16.4300
S -0.4959 6.6538 16.3856
S -0.4959 11.2511 1.5236
S -3.6349 7.4946 3.5189
S -2.5969 9.5166 10.4431
S -1.6205 7.5173 0.6765
S -0.5312 11.2196 13.5367
S 1.5119 9.5683 4.3954
Dy -0.0336 14.1886 12.7760
Dy -2.0350 12.6863 15.7359
Dy -0.0594 2.3603 0.6680
Dy -1.0597 8.9367 14.9994
Dy 0.0179 9.6516 11.2726
Dy -2.1119 11.2344 8.2476
Dy -1.0597 8.9682 2.9098
Dy 2.0881 11.2506 14.3846
Dy -0.0594 15.5446 17.2412
Dy 0.0179 8.2533 6.6366
Dy 2.0881 6.6543 3.5246
Dy -2.1119 6.6705 9.6616
Dy -0.0336 3.7163 5.1332
Dy -2.0350 5.2185 2.1734
Pb 1.0255 5.9319 11.9739
Pb 1.0255 11.9730 5.9353
Pb 3.1612 8.9524 8.9546
```

Output
The value obtained for the formation energy is -2.089 eV/atom. The calculation puts the calculated total energy at -248.50 eV per cell. The calculation puts the size of the total moment at 0.0 μB per cell. As for the excess energy over the best structure of this formula in the dataset: 0 meV/atom.

(15)
## Dy3Pd2 (GGA-PBE)

Data for a relaxed structure of Dy3Pd2.

```
10
Lattice="7.8104 0.0000 0.0000 0.0000 7.8104 0.0000 0.0000 0.0000 3.9449" Properties=species:S:1:pos:R:3 pbc="T T T"
Pd 4.9399 6.7756 0.0000
Pd 6.7756 2.8705 0.0000
Pd 1.0347 4.9399 0.0000
Pd 2.8705 1.0347 0.0000
Dy 5.1924 1.2872 1.9724
Dy 6.5231 5.1924 1.9724
Dy 0.0000 0.0000 0.0000
Dy 1.2872 2.6179 1.9724
Dy 3.9052 3.9052 0.0000
Dy 2.6179 6.5231 1.9724
```

Output
The value obtained for the formation energy is -0.733 eV/atom. The calculation puts the calculated total energy at -55.69 eV per cell.

(16)
## DyPd2 (GGA-PBE)

Data for a relaxed structure of DyPd2.

```
3
Lattice="1.8244 -3.1188 3.5526 -2.9679 -0.3225 4.0944 -0.8017 -0.4078 -4.9867" Properties=species:S:1:pos:R:3 pbc="T T T"
Pd -2.1707 -1.2255 1.4656
Pd 0.2255 -2.6236 1.1947
Dy 0.0000 0.0000 0.0000
```

Output
The value obtained for the formation energy is -0.623 eV/atom. The calculation puts the calculated total energy at -16.83 eV per cell. The calculation puts the size of the total moment at 0.0 μB per cell.

(17)
## Dy3Pd4 (GGA-PBE)

Data for a relaxed structure of Dy3Pd4.

```
14
Lattice="-7.7870 1.2686 -0.1563 2.2970 -6.5855 -3.6915 3.3326 1.0973 7.0683" Properties=species:S:1:pos:R:3 pbc="T T T"
Dy -1.1724 -2.2703 -1.3480
Dy -0.0132 -4.8674 1.3962
Dy -0.9850 -1.9492 4.5685
Dy 1.7853 -1.3726 1.8096
Dy -2.1443 0.6479 1.8244
Dy -3.9428 -2.8469 1.4110
Pd 0.2339 0.4917 3.6401
Pd 0.0000 0.0000 0.0000
Pd 1.5426 -3.3095 -0.4634
Pd -3.7001 -0.9101 3.6840
Pd -1.0787 -2.1098 1.6103
Pd -2.3913 -4.7113 -0.4196
Pd -3.5791 -0.7078 -0.4858
Pd 1.4217 -3.5117 3.7064
```

Output
The value obtained for the formation energy is -0.940 eV/atom. The calculation puts the calculated total energy at -82.24 eV per cell.

(18)
## Dy2PdRh (GGA-PBE)

Data for a relaxed structure of Dy2PdRh.

```
4
Lattice="0.0000 3.4724 3.4724 3.4724 0.0000 3.4724 3.4724 3.4724 0.0000" Properties=species:S:1:pos:R:3 pbc="T T T"
Pd 3.4724 3.4724 3.4724
Dy 5.2086 5.2086 5.2086
Dy 1.7362 1.7362 1.7362
Rh 0.0000 0.0000 0.0000
```

Output
The value obtained for the formation energy is -0.886 eV/atom. The calculation puts the calculated total energy at -25.30 eV per cell.